Entry 1:
! Er2Hf2O7 (PBE-GGA, relaxed); values from VASP
! - mass density (g/cm3) = 9.34
! - energy of formation from the pure elements (meV per atom) = -4010
! - energy with MP2020 corrections (eV/atom) = -9.800
&SYSTEM
  ibrav = 0, nat = 22, ntyp = 3
/
ATOMIC_SPECIES
Er 167.26 Er.upf
Hf 178.49 Hf.upf
O 16.00 O.upf
CELL_PARAMETERS angstrom
5.603 3.245 3.566
-0.902 2.332 6.956
3.385 -3.523 5.547
ATOMIC_POSITIONS crystal
Er 0.625 0.625 0.125
Er 0.625 0.625 0.625
Er 0.125 0.625 0.625
Er 0.625 0.125 0.625
Hf 0.125 0.125 0.125
Hf 0.625 0.125 0.125
Hf 0.125 0.125 0.625
Hf 0.125 0.625 0.125
O 0.035 0.465 0.035
O 0.215 0.785 0.785
O 0.215 0.785 0.215
O 0.035 0.035 0.465
O 0.785 0.785 0.215
O 0.785 0.215 0.215
O 0.465 0.035 0.035
O 0.465 0.035 0.465
O 0.215 0.215 0.785
O 0.750 0.750 0.750
O 0.035 0.465 0.465
O 0.465 0.465 0.035
O 0.785 0.215 0.785
O 0.500 0.500 0.500

---

Entry 2:
! ErHfRu2 (PBE-GGA, relaxed); values from VASP
! - mass density (g/cm3) = 12.63
! - energy of formation from the pure elements (meV per atom) = -605
&SYSTEM
  ibrav = 0, nat = 4, ntyp = 3
/
ATOMIC_SPECIES
Er 167.26 Er.upf
Hf 178.49 Hf.upf
Ru 101.07 Ru.upf
CELL_PARAMETERS angstrom
0.000 3.303 3.303
3.303 0.000 3.303
3.303 3.303 0.000
ATOMIC_POSITIONS crystal
Er 0.500 0.500 0.500
Hf 0.000 0.000 0.000
Ru 0.250 0.250 0.250
Ru 0.750 0.750 0.750

---

Entry 3:
! Er2HfS5 (PBE-GGA, relaxed); values from VASP
! - mass density (g/cm3) = 7.01
! - energy of formation from the pure elements (meV per atom) = -2173
! - energy with MP2020 corrections (eV/atom) = -7.145
&SYSTEM
  ibrav = 0, nat = 32, ntyp = 3
/
ATOMIC_SPECIES
Er 167.26 Er.upf
Hf 178.49 Hf.upf
S 32.06 S.upf
CELL_PARAMETERS angstrom
-4.106 -2.605 5.329
3.967 -6.573 -0.157
7.368 4.261 7.760
ATOMIC_POSITIONS crystal
Er 0.524 0.003 0.322
Er 0.976 0.497 0.822
Er 0.476 0.503 0.678
Er 0.024 0.997 0.178
Er 0.476 0.997 0.678
Er 0.024 0.503 0.178
Er 0.524 0.497 0.322
Er 0.976 0.003 0.822
Hf 0.075 0.750 0.494
Hf 0.425 0.750 0.994
Hf 0.925 0.250 0.506
Hf 0.575 0.250 0.006
S 0.839 0.536 0.595
S 0.661 0.964 0.095
S 0.161 0.036 0.405
S 0.339 0.464 0.905
S 0.161 0.464 0.405
S 0.339 0.036 0.905
S 0.839 0.964 0.595
S 0.661 0.536 0.095
S 0.832 0.750 0.319
S 0.668 0.750 0.819
S 0.168 0.250 0.681
S 0.332 0.250 0.181
S 0.448 0.750 0.497
S 0.052 0.750 0.997
S 0.552 0.250 0.503
S 0.948 0.250 0.003
S 0.189 0.750 0.707
S 0.311 0.750 0.207
S 0.811 0.250 0.293
S 0.689 0.250 0.793

---

Entry 4:
! ErHg3 (PBE-GGA, relaxed); values from VASP
! - mass density (g/cm3) = 13.37
! - energy of formation from the pure elements (meV per atom) = -326
&SYSTEM
  ibrav = 0, nat = 8, ntyp = 2
/
ATOMIC_SPECIES
Er 167.26 Er.upf
Hg 200.59 Hg.upf
CELL_PARAMETERS angstrom
-4.085 5.023 1.501
2.422 -3.871 4.829
3.924 3.049 0.476
ATOMIC_POSITIONS crystal
Er 0.333 0.667 0.750
Er 0.667 0.333 0.250
Hg 0.167 0.334 0.250
Hg 0.666 0.833 0.250
Hg 0.167 0.833 0.250
Hg 0.833 0.666 0.750
Hg 0.334 0.167 0.750
Hg 0.833 0.167 0.750

---

Entry 5:
! LiErHg2 (PBE-GGA, relaxed); values from VASP
! - mass density (g/cm3) = 10.77
! - energy of formation from the pure elements (meV per atom) = -432
&SYSTEM
  ibrav = 0, nat = 4, ntyp = 3
/
ATOMIC_SPECIES
Li 6.94 Li.upf
Er 167.26 Er.upf
Hg 200.59 Hg.upf
CELL_PARAMETERS angstrom
0.000 3.540 3.540
3.540 0.000 3.540
3.540 3.540 0.000
ATOMIC_POSITIONS crystal
Li 0.000 0.000 0.000
Er 0.500 0.500 0.500
Hg 0.250 0.250 0.250
Hg 0.750 0.750 0.750

---

Entry 6:
! ErLuHg2 (PBE-GGA, relaxed); values from VASP
! - mass density (g/cm3) = 12.46
! - energy of formation from the pure elements (meV per atom) = -473
&SYSTEM
  ibrav = 0, nat = 4, ntyp = 3
/
ATOMIC_SPECIES
Er 167.26 Er.upf
Lu 174.97 Lu.upf
Hg 200.59 Hg.upf
CELL_PARAMETERS angstrom
0.000 3.672 3.672
3.672 0.000 3.672
3.672 3.672 0.000
ATOMIC_POSITIONS crystal
Er 0.500 0.500 0.500
Lu 0.000 0.000 0.000
Hg 0.250 0.250 0.250
Hg 0.750 0.750 0.750

---

Entry 7:
! SmErHg2 (PBE-GGA, relaxed); values from VASP
! - mass density (g/cm3) = 11.26
! - energy of formation from the pure elements (meV per atom) = -469
&SYSTEM
  ibrav = 0, nat = 4, ntyp = 3
/
ATOMIC_SPECIES
Sm 150.36 Sm.upf
Er 167.26 Er.upf
Hg 200.59 Hg.upf
CELL_PARAMETERS angstrom
-3.348 -1.952 3.634
-5.218 -0.121 -0.989
-2.435 -4.644 -0.854
ATOMIC_POSITIONS crystal
Sm 0.000 0.000 0.000
Er 0.500 0.500 0.500
Hg 0.250 0.250 0.250
Hg 0.750 0.750 0.750

---

Entry 8:
! ErTmHg2 (PBE-GGA, relaxed); values from VASP
! - mass density (g/cm3) = 12.17
! - energy of formation from the pure elements (meV per atom) = -477
&SYSTEM
  ibrav = 0, nat = 4, ntyp = 3
/
ATOMIC_SPECIES
Er 167.26 Er.upf
Tm 168.93 Tm.upf
Hg 200.59 Hg.upf
CELL_PARAMETERS angstrom
-5.121 -0.018 1.016
-3.139 3.448 -2.348
-3.379 -1.604 -3.643
ATOMIC_POSITIONS crystal
Er 0.500 0.500 0.500
Tm 0.000 0.000 0.000
Hg 0.250 0.250 0.250
Hg 0.750 0.750 0.750

---

Entry 9:
! YErHg2 (PBE-GGA, relaxed); values from VASP
! - mass density (g/cm3) = 10.62
! - energy of formation from the pure elements (meV per atom) = -493
&SYSTEM
  ibrav = 0, nat = 4, ntyp = 3
/
ATOMIC_SPECIES
Y 88.91 Y.upf
Er 167.26 Er.upf
Hg 200.59 Hg.upf
CELL_PARAMETERS angstrom
0.000 3.718 3.718
3.718 0.000 3.718
3.718 3.718 0.000
ATOMIC_POSITIONS crystal
Y 0.000 0.000 0.000
Er 0.500 0.500 0.500
Hg 0.250 0.250 0.250
Hg 0.750 0.750 0.750

---

Entry 10:
! HoEr (PBE-GGA, relaxed); values from VASP
! - mass density (g/cm3) = 8.78
! - energy of formation from the pure elements (meV per atom) = 11
&SYSTEM
  ibrav = 0, nat = 2, ntyp = 2
/
ATOMIC_SPECIES
Ho 164.93 Ho.upf
Er 167.26 Er.upf
CELL_PARAMETERS angstrom
-2.798 1.358 -1.761
0.981 -3.393 -0.548
-3.448 -1.673 4.188
ATOMIC_POSITIONS crystal
Ho 0.000 0.000 0.000
Er 0.333 0.667 0.500

---

Entry 11:
! HoEr3 (PBE-GGA, relaxed); values from VASP
! - mass density (g/cm3) = 8.89
! - energy of formation from the pure elements (meV per atom) = 9
&SYSTEM
  ibrav = 0, nat = 8, ntyp = 2
/
ATOMIC_SPECIES
Ho 164.93 Ho.upf
Er 167.26 Er.upf
CELL_PARAMETERS angstrom
3.583 -6.206 0.000
3.583 6.206 0.000
0.000 0.000 5.601
ATOMIC_POSITIONS crystal
Ho 0.333 0.667 0.750
Ho 0.667 0.333 0.250
Er 0.166 0.333 0.250
Er 0.667 0.834 0.250
Er 0.166 0.834 0.250
Er 0.834 0.667 0.750
Er 0.333 0.166 0.750
Er 0.834 0.166 0.750

---

Entry 12:
! HoErIn2 (PBE-GGA, relaxed); values from VASP
! - mass density (g/cm3) = 8.98
! - energy of formation from the pure elements (meV per atom) = -438
&SYSTEM
  ibrav = 0, nat = 4, ntyp = 3
/
ATOMIC_SPECIES
Ho 164.93 Ho.upf
Er 167.26 Er.upf
In 114.82 In.upf
CELL_PARAMETERS angstrom
0.000 3.731 3.731
3.731 0.000 3.731
3.731 3.731 0.000
ATOMIC_POSITIONS crystal
Ho 0.000 0.000 0.000
Er 0.500 0.500 0.500
In 0.250 0.250 0.250
In 0.750 0.750 0.750